Density functional theory data (PBE) for AlAs after structural relaxation.

POSCAR file:
```
AlAs
1.0
3.785 0.000 0.000
-1.892 3.278 0.000
0.000 0.000 5.996
Al As
2 2
Direct
0.000 0.000 0.000
0.000 0.000 0.500
0.333 0.667 0.250
0.667 0.333 0.750
```

Summary:
VASP energy: -4.4392 eV/atom
calculated formation energy: -0.2368 eV/atom
M_tot: 0.00 μB per formula unit
space group: P6_3/mmc (194)
crystal system: hexagonal

Density functional theory data (PBE) for AlAs after structural relaxation.

POSCAR file:
```
AlAs
1.0
0.000 2.648 2.648
2.648 0.000 2.648
2.648 2.648 0.000
Al As
1 1
Direct
0.000 0.000 0.000
0.500 0.500 0.500
```

Summary:
VASP energy: -4.4111 eV/atom
calculated formation energy: -0.2087 eV/atom
M_tot: 0.00 μB per formula unit
space group: Fm-3m (225)
crystal system: cubic

Density functional theory data (PBE) for AlAs after structural relaxation.

POSCAR file:
```
AlAs
1.0
4.046 0.000 0.000
-2.023 3.504 0.000
0.000 0.000 6.649
Al As
2 2
Direct
0.333 0.667 0.000
0.667 0.333 0.500
0.333 0.667 0.374
0.667 0.333 0.874
```

Summary:
VASP energy: -4.6806 eV/atom
maximum piezoelectric response: 0.0 C/m²
calculated formation energy: -0.4782 eV/atom
space group: P6_3mc (186)
crystal system: hexagonal

Which formula does entry 3 have?
AlAs

Among the records above, which one has the lowest calculated formation energy?
number 3

Which value of calculated formation energy does entry 3 give?
-0.4782 eV/atom

Please write out number 1 again, unchanged.
Density functional theory data (PBE) for AlAs after structural relaxation.

POSCAR file:
```
AlAs
1.0
3.785 0.000 0.000
-1.892 3.278 0.000
0.000 0.000 5.996
Al As
2 2
Direct
0.000 0.000 0.000
0.000 0.000 0.500
0.333 0.667 0.250
0.667 0.333 0.750
```

Summary:
VASP energy: -4.4392 eV/atom
calculated formation energy: -0.2368 eV/atom
M_tot: 0.00 μB per formula unit
space group: P6_3/mmc (194)
crystal system: hexagonal